Entry 1:
First-principles (PBE) data for a geometry-optimized Na2CaZr3Si2S4O24 structure, as listed in Materials Project.

Calculated values
Space-group type: No. 1
E_tot, eV per atom: -7.17
MP2020-corrected energy, eV per atom: -7.63
Total magnetic moment, μB per formula unit: 0.00

abc: 9.0567 9.0569 23.7422
angles: 89.70 89.58 60.12
Sites, in units of the cell vectors:
Na 0.0000 0.0000 0.0000
Na 0.0038 0.9772 0.4916
Na 0.3202 0.3554 0.6556
Na 0.3293 0.3075 0.1630
Na 0.6715 0.6717 0.8284
Na 0.6791 0.6637 0.3284
Ca 0.3175 0.3514 0.5161
Ca 0.3237 0.3261 0.0200
Ca 0.9880 0.9950 0.8460
Zr 0.0036 0.9793 0.6429
Zr 0.3074 0.3369 0.3090
Zr 0.3137 0.3460 0.8100
Zr 0.6450 0.6793 0.9807
Zr 0.6545 0.6694 0.4751
Zr 0.6563 0.6659 0.6813
Zr 0.6558 0.6811 0.1873
Zr 0.9778 0.0026 0.3459
Zr 0.9896 0.0140 0.1465
Si 0.0281 0.6339 0.4141
Si 0.3580 0.9605 0.0836
Si 0.3686 0.6647 0.5808
Si 0.6933 0.0109 0.2457
Si 0.9848 0.7065 0.7480
Si 0.9857 0.2960 0.2473
S 0.0260 0.3401 0.9135
S 0.2792 0.7116 0.2466
S 0.2864 0.0038 0.7461
S 0.3217 0.0408 0.4133
S 0.3300 0.6250 0.9141
S 0.6141 0.0406 0.9136
S 0.6184 0.3349 0.4128
S 0.6601 0.9554 0.5810
S 0.6609 0.3809 0.0812
S 0.6942 0.2962 0.7463
S 0.9413 0.6746 0.0806
S 0.9425 0.3752 0.5813
O 0.0024 0.8262 0.4034
O 0.0051 0.1908 0.9066
O 0.0189 0.7981 0.6918
O 0.0205 0.1756 0.1910
O 0.1103 0.5254 0.0757
O 0.1134 0.3517 0.5787
O 0.1163 0.3597 0.8615
O 0.1231 0.5115 0.3580
O 0.1261 0.3209 0.9634
O 0.1319 0.5609 0.4704
O 0.1553 0.3174 0.2531
O 0.1620 0.5130 0.7553
O 0.1736 0.0161 0.4047
O 0.1739 0.9654 0.0853
O 0.1750 0.7908 0.1957
O 0.1764 0.0329 0.6961
O 0.1789 0.8466 0.5872
O 0.1856 0.7979 0.9076
O 0.2014 0.8168 0.2972
O 0.2158 0.9739 0.7973
O 0.2985 0.1373 0.4645
O 0.2982 0.5405 0.2532
O 0.3071 0.1577 0.7521
O 0.3093 0.5446 0.9642
O 0.3423 0.1437 0.0819
O 0.3486 0.5006 0.5837
O 0.3505 0.1221 0.3626
O 0.3502 0.5183 0.8621
O 0.4515 0.6915 0.2404
O 0.4585 0.8413 0.0248
O 0.4596 0.8540 0.7373
O 0.4644 0.6895 0.5252
O 0.4796 0.6631 0.6358
O 0.4797 0.8661 0.4176
O 0.4806 0.8484 0.1354
O 0.4933 0.6332 0.9170
O 0.5070 0.1209 0.5779
O 0.5083 0.3662 0.0763
O 0.5087 0.1231 0.8621
O 0.5088 0.1801 0.2554
O 0.5133 0.3598 0.3627
O 0.5208 0.3123 0.7534
O 0.5314 0.1386 0.9641
O 0.5509 0.3030 0.4642
O 0.6299 0.8648 0.9180
O 0.6359 0.4926 0.4185
O 0.6481 0.4809 0.1312
O 0.6488 0.8653 0.6320
O 0.6657 0.4725 0.7381
O 0.6722 0.8407 0.2400
O 0.6845 0.4632 0.0284
O 0.6882 0.8505 0.5298
O 0.7759 0.1902 0.6960
O 0.7852 0.0187 0.9089
O 0.7913 0.0266 0.1896
O 0.7944 0.2292 0.7972
O 0.7951 0.1876 0.4052
O 0.8147 0.9745 0.3006
O 0.8152 0.9748 0.5872
O 0.8159 0.4811 0.2383
O 0.8173 0.2086 0.0835
O 0.8261 0.6736 0.7358
O 0.8333 0.6538 0.4203
O 0.8361 0.6909 0.0289
O 0.8403 0.4592 0.5301
O 0.8559 0.4998 0.9162
O 0.8566 0.4830 0.6319
O 0.8582 0.6516 0.1312
O 0.9481 0.2089 0.5888
O 0.9491 0.8334 0.0836
O 0.9519 0.8122 0.8037
O 0.9674 0.2012 0.3025



Entry 2:
First-principles (PBE) data for a geometry-optimized Na4CaZr3Si3S3O24 structure, as listed in Materials Project.

Calculated values
Space-group type: No. 1
E_tot, eV per atom: -7.12
MP2020-corrected energy, eV per atom: -7.55
Total magnetic moment, μB per formula unit: 0.00

abc: 9.1800 9.1921 23.4496
angles: 89.94 89.64 60.04
Sites, in units of the cell vectors:
Na 0.0000 0.0000 0.0000
Na 0.0039 0.3243 0.1524
Na 0.3022 0.0594 0.0812
Na 0.3087 0.0455 0.5694
Na 0.3187 0.7118 0.1564
Na 0.3459 0.3166 0.6471
Na 0.6038 0.0687 0.1652
Na 0.6167 0.7107 0.6474
Na 0.6395 0.3471 0.2424
Na 0.6684 0.3455 0.7306
Na 0.9621 0.6947 0.9144
Na 0.9671 0.6979 0.4032
Ca 0.3041 0.0404 0.7185
Ca 0.3138 0.0436 0.2277
Ca 0.9773 0.6916 0.0499
Zr 0.3120 0.0459 0.9271
Zr 0.3350 0.0348 0.4249
Zr 0.6336 0.3706 0.3879
Zr 0.6500 0.3476 0.0897
Zr 0.6504 0.3608 0.5863
Zr 0.6525 0.3612 0.8881
Zr 0.9618 0.7084 0.7531
Zr 0.9647 0.6927 0.5466
Zr 0.9793 0.7127 0.2553
Si 0.2729 0.4075 0.1535
Si 0.3481 0.3716 0.4900
Si 0.6222 0.0319 0.3190
Si 0.6370 0.6600 0.4876
Si 0.6446 0.0728 0.9860
Si 0.6884 0.9976 0.6522
Si 0.9364 0.3689 0.9865
Si 0.9718 0.4102 0.6530
Si 0.9806 0.9973 0.1500
S 0.0098 0.3350 0.3227
S 0.0137 0.0307 0.8228
S 0.2658 0.6960 0.6535
S 0.3097 0.3364 0.8212
S 0.3109 0.7370 0.3220
S 0.3580 0.6621 0.9847
S 0.6062 0.7373 0.8208
S 0.6844 0.6963 0.1549
S 0.9388 0.0746 0.4861
O 0.0045 0.8988 0.0913
O 0.0722 0.2436 0.2685
O 0.0877 0.0561 0.7714
O 0.1051 0.0607 0.4797
O 0.1159 0.0137 0.8741
O 0.1159 0.1827 0.9771
O 0.1226 0.2396 0.3711
O 0.1421 0.0207 0.1597
O 0.1415 0.2319 0.6566
O 0.1542 0.4848 0.0997
O 0.1550 0.5047 0.8183
O 0.1575 0.7183 0.3194
O 0.1661 0.7175 0.6028
O 0.1675 0.5438 0.4949
O 0.1765 0.5303 0.2104
O 0.1819 0.6763 0.7063
O 0.1891 0.6848 0.9862
O 0.2893 0.8482 0.3709
O 0.2897 0.2433 0.8709
O 0.2970 0.8380 0.6598
O 0.3137 0.2144 0.1589
O 0.3241 0.2059 0.4819
O 0.3347 0.8019 0.2679
O 0.3383 0.2393 0.7688
O 0.3412 0.8332 0.9768
O 0.4339 0.5362 0.6509
O 0.4483 0.5579 0.9343
O 0.4500 0.3860 0.4353
O 0.4554 0.4103 0.1483
O 0.4550 0.5894 0.0377
O 0.4580 0.3589 0.8299
O 0.4621 0.5658 0.3297
O 0.4633 0.3410 0.5479
O 0.4665 0.8459 0.4807
O 0.4743 0.0558 0.9776
O 0.5083 0.0042 0.6563
O 0.5105 0.0136 0.3730
O 0.5115 0.8383 0.1633
O 0.5155 0.8063 0.7676
O 0.5150 0.8475 0.8703
O 0.5279 0.0638 0.2592
O 0.6141 0.1846 0.0446
O 0.6192 0.5723 0.5472
O 0.6284 0.5664 0.8288
O 0.6445 0.1890 0.9326
O 0.6463 0.1952 0.3319
O 0.6585 0.1898 0.6497
O 0.6673 0.5375 0.4340
O 0.6749 0.5384 0.1491
O 0.7530 0.7305 0.1037
O 0.7780 0.7218 0.8184
O 0.7925 0.4103 0.6497
O 0.7935 0.6693 0.2057
O 0.7938 0.8769 0.5992
O 0.8018 0.6858 0.4920
O 0.8032 0.1866 0.1502
O 0.8035 0.9054 0.7109
O 0.8066 0.8560 0.3179
O 0.8178 0.9008 0.9830
O 0.8200 0.3766 0.9319
O 0.8312 0.1564 0.4363
O 0.8393 0.3573 0.3321
O 0.8395 0.1823 0.8285
O 0.8494 0.3379 0.0437
O 0.8575 0.1803 0.5387
O 0.9469 0.5345 0.7098
O 0.9466 0.9006 0.2053
O 0.9555 0.9079 0.4935
O 0.9648 0.5240 0.9828
O 0.9963 0.5091 0.5990
O 0.9972 0.5031 0.3191
O 0.9973 0.8771 0.8188



Number 1: formation enthalpy at 0 K -263.5 kJ/mol of atoms. Number 2: formation enthalpy at 0 K -270.9 kJ/mol of atoms.